# LiV3OF11

A relaxed LiV3OF11 crystal (GGA+U, the Materials Project database).

## Properties
Distance to the lowest polymorph of the same formula = 0.458 eV per formula unit
Final energy = -5.72 eV per atom
Energy of formation from the pure elements = -2951 meV per atom
Volume = 437 Å³/cell

Cell and atoms, written as CIF:
```
data_LiV3OF11
_chemical_formula_sum 'Li2 V6 O2 F22'
_cell_length_a 5.249
_cell_length_b 5.391
_cell_length_c 15.675
_cell_angle_alpha 80.25
_cell_angle_beta 89.58
_cell_angle_gamma 88.69
_symmetry_space_group_name_H-M 'P 1'
_symmetry_Int_Tables_number 1
loop_
_symmetry_equiv_pos_as_xyz
'x,y,z'
loop_
_atom_site_label
_atom_site_type_symbol
_atom_site_fract_x
_atom_site_fract_y
_atom_site_fract_z
_atom_site_occupancy
Li1 Li 0.240 0.159 0.153 1
Li2 Li 0.760 0.841 0.847 1
V1 V 0.000 0.500 0.000 1
V2 V 0.002 0.169 0.663 1
V3 V 0.498 0.667 0.663 1
V4 V 0.500 0.000 0.000 1
V5 V 0.502 0.333 0.337 1
V6 V 0.998 0.831 0.337 1
O1 O 0.242 0.217 0.012 1
O2 O 0.758 0.783 0.988 1
F1 F 0.061 0.584 0.885 1
F2 F 0.090 0.876 0.221 1
F3 F 0.094 0.195 0.552 1
F4 F 0.193 0.511 0.360 1
F5 F 0.194 0.845 0.693 1
F6 F 0.274 0.714 0.027 1
F7 F 0.311 0.356 0.689 1
F8 F 0.313 0.022 0.356 1
F9 F 0.408 0.368 0.223 1
F10 F 0.409 0.710 0.554 1
F11 F 0.439 0.025 0.884 1
F12 F 0.561 0.975 0.116 1
F13 F 0.591 0.290 0.446 1
F14 F 0.592 0.632 0.777 1
F15 F 0.687 0.978 0.644 1
F16 F 0.689 0.644 0.311 1
F17 F 0.726 0.286 0.973 1
F18 F 0.806 0.155 0.307 1
F19 F 0.807 0.489 0.640 1
F20 F 0.906 0.805 0.448 1
F21 F 0.910 0.124 0.779 1
F22 F 0.939 0.416 0.115 1
```



# MgMn6O10F2

A relaxed MgMn6O10F2 crystal (GGA+U, the Materials Project database).

## Properties
Distance to the lowest polymorph of the same formula = 1.001 eV per formula unit
Final energy = -6.92 eV per atom
Energy of formation from the pure elements = -2078 meV per atom
Volume = 217 Å³/cell

Cell and atoms, written as CIF:
```
data_MgMn6O10F2
_chemical_formula_sum 'Mg1 Mn6 O10 F2'
_cell_length_a 5.726
_cell_length_b 5.874
_cell_length_c 7.658
_cell_angle_alpha 106.64
_cell_angle_beta 99.14
_cell_angle_gamma 112.63
_symmetry_space_group_name_H-M 'P 1'
_symmetry_Int_Tables_number 1
loop_
_symmetry_equiv_pos_as_xyz
'x,y,z'
loop_
_atom_site_label
_atom_site_type_symbol
_atom_site_fract_x
_atom_site_fract_y
_atom_site_fract_z
_atom_site_occupancy
Mg1 Mg 0.000 0.000 0.000 1
Mn1 Mn 0.003 0.510 0.011 1
Mn2 Mn 0.031 0.936 0.490 1
Mn3 Mn 0.380 0.940 0.813 1
Mn4 Mn 0.382 0.555 0.373 1
Mn5 Mn 0.640 0.087 0.239 1
Mn6 Mn 0.680 0.483 0.682 1
O1 O 0.113 0.658 0.299 1
O2 O 0.282 0.854 0.031 1
O3 O 0.392 0.147 0.655 1
O4 O 0.437 0.643 0.633 1
O5 O 0.605 0.387 0.411 1
O6 O 0.667 0.848 0.375 1
O7 O 0.740 0.158 0.999 1
O8 O 0.753 0.627 0.957 1
O9 O 0.930 0.365 0.747 1
O10 O 0.991 0.834 0.715 1
F1 F 0.063 0.158 0.305 1
F2 F 0.273 0.371 0.069 1
```